1.
Material: BaC20
Method: DFT, PBE
State: optimized geometry

Calculated values
Its calculated volume is 1511 Å³/cell. Its calculated total energy is -1089.568 eV/cell. The calculation puts the total magnetization at 0.002 μB per cell. Its energy of formation from the pure elements is 0.233 eV per atom.

Unit cell a=11.475 b=11.475 c=11.475 alpha=90.00 beta=90.00 gamma=90.00
Positions (direct):
Ba: 0.000 0.500 0.750
C: 0.563 0.273 0.298
C: 0.625 0.234 0.398
C: 0.937 0.798 0.773
C: 0.227 0.063 0.202
C: 0.625 0.234 0.602
C: 0.702 0.563 0.273
C: 0.563 0.727 0.298
C: 0.266 0.125 0.898
C: 0.202 0.227 0.063
C: 0.375 0.766 0.398
C: 0.798 0.773 0.937
C: 0.000 0.695 0.062
C: 0.000 0.305 0.938
C: 0.734 0.875 0.898
C: 0.266 0.875 0.898
C: 0.438 0.195 0.500
C: 0.234 0.398 0.625
C: 0.195 0.500 0.562
C: 0.766 0.602 0.375
C: 0.702 0.437 0.727
C: 0.937 0.202 0.773
C: 0.234 0.602 0.375
C: 0.273 0.298 0.563
C: 0.798 0.773 0.063
C: 0.102 0.734 0.875
C: 0.563 0.727 0.702
C: 0.375 0.234 0.398
C: 0.227 0.063 0.798
C: 0.766 0.398 0.375
C: 0.798 0.227 0.063
C: 0.063 0.798 0.773
C: 0.437 0.727 0.702
C: 0.102 0.266 0.125
C: 0.437 0.273 0.298
C: 0.000 0.695 0.938
C: 0.798 0.227 0.937
C: 0.727 0.702 0.563
C: 0.875 0.102 0.734
C: 0.438 0.805 0.500
C: 0.437 0.727 0.298
C: 0.773 0.937 0.202
C: 0.805 0.500 0.438
C: 0.398 0.625 0.234
C: 0.298 0.437 0.273
C: 0.773 0.063 0.202
C: 0.602 0.375 0.234
C: 0.602 0.625 0.766
C: 0.625 0.766 0.602
C: 0.062 0.000 0.305
C: 0.734 0.125 0.898
C: 0.898 0.266 0.125
C: 0.273 0.702 0.437
C: 0.398 0.375 0.234
C: 0.195 0.500 0.438
C: 0.000 0.305 0.062
C: 0.063 0.202 0.227
Ba: 0.750 0.000 0.500
C: 0.305 0.062 0.000
C: 0.938 0.000 0.695
C: 0.437 0.273 0.702
C: 0.234 0.602 0.625
C: 0.125 0.102 0.734
C: 0.727 0.298 0.563
C: 0.202 0.227 0.937
C: 0.562 0.195 0.500
C: 0.266 0.125 0.102
C: 0.234 0.398 0.375
C: 0.227 0.937 0.202
Ba: 0.250 0.000 0.500
C: 0.500 0.438 0.195
C: 0.298 0.563 0.727
C: 0.898 0.266 0.875
C: 0.227 0.937 0.798
C: 0.562 0.805 0.500
C: 0.937 0.202 0.227
C: 0.298 0.437 0.727
C: 0.298 0.563 0.273
C: 0.625 0.766 0.398
C: 0.602 0.625 0.234
C: 0.305 0.938 0.000
C: 0.937 0.798 0.227
C: 0.734 0.875 0.102
C: 0.273 0.702 0.563
C: 0.602 0.375 0.766
C: 0.695 0.062 0.000
C: 0.702 0.437 0.273
C: 0.398 0.625 0.766
C: 0.125 0.898 0.266
C: 0.500 0.562 0.195
C: 0.266 0.875 0.102
C: 0.202 0.773 0.063
Ba: 0.500 0.250 0.000
C: 0.102 0.266 0.875
C: 0.898 0.734 0.875
C: 0.734 0.125 0.102
C: 0.875 0.102 0.266
C: 0.273 0.298 0.437
C: 0.727 0.702 0.437
C: 0.766 0.602 0.625
C: 0.500 0.562 0.805
C: 0.766 0.398 0.625
C: 0.773 0.937 0.798
C: 0.202 0.773 0.937
C: 0.702 0.563 0.727
Ba: 0.000 0.500 0.250
C: 0.875 0.898 0.266
C: 0.898 0.734 0.125
C: 0.938 0.000 0.305
Ba: 0.500 0.750 0.000
C: 0.875 0.898 0.734
C: 0.727 0.298 0.437
C: 0.398 0.375 0.766
C: 0.063 0.202 0.773
C: 0.102 0.734 0.125
C: 0.695 0.938 0.000
C: 0.063 0.798 0.227
C: 0.773 0.063 0.798
C: 0.805 0.500 0.562
C: 0.125 0.898 0.734
C: 0.375 0.766 0.602
C: 0.125 0.102 0.266
C: 0.375 0.234 0.602
C: 0.563 0.273 0.702
C: 0.062 0.000 0.695
C: 0.500 0.438 0.805

2.
Material: CsAgBr3
Method: DFT, PBE
State: optimized geometry

Calculated values
The value obtained for the total energy after the MP2020 corrections is -14.85 eV per cell. Its calculated volume is 166 Å³/cell. Its calculated total energy is -13.245 eV/cell. The calculation puts the total magnetization at 0.001 μB per cell. Its energy of formation from the pure elements is -1.242 eV per atom.

Unit cell a=5.495 b=5.498 c=5.494 alpha=89.97 beta=89.95 gamma=89.95
Positions (direct):
Br: 0.487 0.999 0.495
Br: 0.489 0.498 0.996
Ag: 0.485 0.499 0.495
Cs: 0.994 0.000 0.001
Br: 0.985 0.503 0.503

3.
Material: Te6IrCl3
Method: DFT, PBE
State: optimized geometry

Calculated values
The value obtained for the total energy after the MP2020 corrections is -77.53 eV per cell. Its calculated volume is 639 Å³/cell. Its calculated total energy is -73.843 eV/cell. Its energy of formation from the pure elements is -0.552 eV per atom.

Unit cell a=9.224 b=9.224 c=9.224 alpha=107.80 beta=107.80 gamma=107.80
Positions (direct):
Te: 0.176 0.187 0.924
Te: 0.324 0.576 0.313
Te: 0.187 0.924 0.176
Cl: 0.987 0.513 0.250
Te: 0.576 0.313 0.324
Te: 0.676 0.424 0.687
Te: 0.813 0.076 0.824
Te: 0.924 0.176 0.187
Cl: 0.013 0.487 0.750
Cl: 0.513 0.250 0.987
Cl: 0.250 0.987 0.513
Te: 0.687 0.676 0.424
Te: 0.424 0.687 0.676
Cl: 0.487 0.750 0.013
Te: 0.824 0.813 0.076
Cl: 0.750 0.013 0.487
Te: 0.076 0.824 0.813
Ir: 0.750 0.750 0.750
Te: 0.313 0.324 0.576
Ir: 0.250 0.250 0.250

4.
Material: Dy5BiAu2
Method: DFT, PBE
State: optimized geometry

Calculated values
Its calculated volume is 436 Å³/cell. Its calculated total energy is -77.975 eV/cell. Its energy of formation from the pure elements is -0.689 eV per atom.

Unit cell a=8.728 b=8.728 c=8.728 alpha=124.28 beta=124.28 gamma=82.73
Positions (direct):
Dy: 0.516 0.016 0.812
Dy: 0.296 0.484 0.500
Dy: 0.204 0.704 0.188
Dy: 0.000 0.000 0.000
Bi: 0.750 0.750 0.000
Dy: 0.484 0.984 0.188
Bi: 0.250 0.250 0.000
Dy: 0.704 0.516 0.500
Dy: 0.016 0.204 0.500
Au: 0.137 0.637 0.774
Au: 0.363 0.137 0.500
Au: 0.863 0.363 0.226
Dy: 0.984 0.796 0.500
Dy: 0.500 0.500 0.000
Au: 0.637 0.863 0.500
Dy: 0.796 0.296 0.812

5.
Material: HoIn3
Method: DFT, PBE
State: optimized geometry

Calculated values
Its calculated volume is 99 Å³/cell. Its calculated total energy is -14.404 eV/cell. Its energy of formation from the pure elements is -0.392 eV per atom.

Unit cell a=4.630 b=4.630 c=4.630 alpha=90.00 beta=90.00 gamma=90.00
Positions (direct):
In: 0.000 0.500 0.500
In: 0.500 0.000 0.500
Ho: 0.000 0.000 0.000
In: 0.500 0.500 0.000

6.
Material: UTa2S6Cl6O
Method: DFT, PBE
State: optimized geometry

Calculated values
The value obtained for the total energy after the MP2020 corrections is -199.08 eV per cell. Its calculated volume is 860 Å³/cell. Its calculated total energy is -191.671 eV/cell. The calculation puts the total magnetization at 4.000 μB per cell. Its energy of formation from the pure elements is -1.480 eV per atom.

Unit cell a=6.986 b=9.679 c=12.872 alpha=84.15 beta=83.15 gamma=88.79
Positions (direct):
Cl: 0.307 0.704 0.643
S: 0.957 0.191 0.150
S: 0.043 0.809 0.850
Cl: 0.970 0.142 0.738
S: 0.895 0.528 0.691
S: 0.344 0.036 0.408
S: 0.175 0.124 0.041
Cl: 0.698 0.655 0.462
U: 0.235 0.407 0.097
Cl: 0.693 0.296 0.357
Cl: 0.894 0.573 0.100
S: 0.388 0.537 0.268
Cl: 0.495 0.065 0.834
Cl: 0.302 0.345 0.538
S: 0.656 0.964 0.592
Ta: 0.777 0.946 0.775
Cl: 0.505 0.935 0.166
Ta: 0.223 0.054 0.225
S: 0.825 0.876 0.959
O: 0.351 0.241 0.218
Cl: 0.030 0.858 0.262
Cl: 0.595 0.345 0.996
O: 0.649 0.759 0.782
Cl: 0.106 0.427 0.900
U: 0.765 0.593 0.903
Cl: 0.405 0.655 0.004
S: 0.924 0.868 0.599
S: 0.105 0.472 0.309
S: 0.612 0.463 0.732
Ta: 0.351 0.303 0.363
S: 0.076 0.132 0.401
Ta: 0.649 0.697 0.637

7.
Material: LiCuPO4
Method: DFT, PBE
State: optimized geometry

Calculated values
The value obtained for the total energy after the MP2020 corrections is -1105.44 eV per cell. Its calculated volume is 1806 Å³/cell. Its calculated total energy is -1039.492 eV/cell. The calculation puts the total magnetization at 24.541 μB per cell. Its energy of formation from the pure elements is -2.121 eV per atom.

Unit cell a=9.822 b=9.822 c=21.620 alpha=90.00 beta=90.00 gamma=120.00
Positions (direct):
O: 0.811 0.824 0.522
O: 0.922 0.802 0.662
O: 0.987 0.811 0.356
Cu: 0.459 0.479 0.750
O: 0.275 0.338 0.799
O: 0.519 0.705 0.859
O: 0.705 0.186 0.026
O: 0.833 0.508 0.357
P: 0.875 0.658 0.319
O: 0.343 0.303 0.925
O: 0.335 0.344 0.225
O: 0.481 0.295 0.359
O: 0.585 0.918 0.781
O: 0.267 0.924 0.752
Cu: 0.510 0.952 0.243
O: 0.881 0.017 0.335
O: 0.295 0.814 0.526
O: 0.200 0.632 0.317
Li: 0.790 0.610 0.541
P: 0.233 0.358 0.173
Cu: 0.021 0.541 0.084
Cu: 0.472 0.956 0.579
O: 0.204 0.706 0.972
O: 0.141 0.621 0.681
O: 0.983 0.864 0.001
Li: 0.645 0.331 0.656
O: 0.937 0.275 0.633
P: 0.363 0.670 0.343
O: 0.800 0.368 0.817
O: 0.656 0.991 0.892
O: 0.374 0.742 0.408
O: 0.082 0.667 0.447
Li: 0.308 0.189 0.843
O: 0.725 0.662 0.299
P: 0.330 0.693 0.009
O: 0.078 0.198 0.162
O: 0.189 0.176 0.022
Cu: 0.956 0.484 0.745
P: 0.767 0.642 0.673
Li: 0.881 0.692 0.176
O: 0.657 0.697 0.425
Cu: 0.541 0.521 0.250
Cu: 0.528 0.044 0.079
O: 0.657 0.733 0.085
Cu: 0.959 0.002 0.761
P: 0.125 0.342 0.819
O: 0.508 0.675 0.524
Cu: 0.442 0.490 0.576
Li: 0.189 0.881 0.009
O: 0.176 0.987 0.189
O: 0.492 0.325 0.024
O: 0.665 0.656 0.725
O: 0.705 0.679 0.966
O: 0.662 0.937 0.466
O: 0.632 0.432 0.483
P: 0.342 0.217 0.986
O: 0.568 0.200 0.150
P: 0.642 0.874 0.840
O: 0.675 0.167 0.691
O: 0.063 0.725 0.133
Li: 0.683 0.854 0.007
Li: 0.317 0.146 0.507
Li: 0.119 0.308 0.676
Li: 0.210 0.390 0.041
O: 0.186 0.481 0.193
O: 0.633 0.374 0.242
P: 0.670 0.307 0.509
Cu: 0.998 0.957 0.428
Li: 0.171 0.317 0.340
O: 0.119 0.983 0.835
O: 0.379 0.520 0.347
O: 0.849 0.564 0.027
O: 0.198 0.119 0.329
Cu: 0.952 0.442 0.409
O: 0.167 0.492 0.857
O: 0.480 0.859 0.014
O: 0.918 0.333 0.947
O: 0.859 0.379 0.181
O: 0.742 0.367 0.575
P: 0.874 0.233 0.007
Li: 0.692 0.811 0.343
Li: 0.146 0.829 0.674
O: 0.321 0.026 0.633
O: 0.497 0.204 0.805
P: 0.690 0.826 0.148
O: 0.864 0.881 0.168
Cu: 0.002 0.043 0.928
O: 0.368 0.568 0.983
P: 0.693 0.363 0.176
P: 0.307 0.637 0.676
O: 0.009 0.665 0.559
O: 0.733 0.076 0.252
O: 0.432 0.800 0.650
Cu: 0.048 0.558 0.909
O: 0.136 0.119 0.668
O: 0.325 0.833 0.191
O: 0.119 0.922 0.495
O: 0.503 0.796 0.305
P: 0.863 0.690 0.981
Cu: 0.479 0.021 0.917
O: 0.881 0.078 0.995
O: 0.338 0.063 0.966
O: 0.814 0.519 0.693
O: 0.343 0.267 0.585
O: 0.564 0.714 0.194
O: 0.017 0.136 0.501
Cu: 0.516 0.472 0.412
Li: 0.390 0.180 0.208
P: 0.637 0.330 0.843
O: 0.303 0.959 0.091
Cu: 0.521 0.979 0.417
Li: 0.669 0.313 0.323
Li: 0.820 0.210 0.874
O: 0.151 0.436 0.527
O: 0.013 0.189 0.856
O: 0.367 0.626 0.742
O: 0.824 0.013 0.689
Cu: 0.957 0.959 0.594
Cu: 0.044 0.516 0.245
Cu: 0.484 0.528 0.912
O: 0.714 0.151 0.361
Li: 0.331 0.687 0.823
O: 0.626 0.258 0.908
P: 0.174 0.863 0.814
Cu: 0.043 0.041 0.094
Cu: 0.979 0.459 0.584
Li: 0.854 0.171 0.174
O: 0.415 0.082 0.281
P: 0.358 0.126 0.340
O: 0.026 0.705 0.800
P: 0.658 0.783 0.486
Cu: 0.558 0.510 0.076
Li: 0.180 0.790 0.374
Li: 0.355 0.669 0.156
O: 0.802 0.881 0.829
O: 0.295 0.321 0.466
O: 0.294 0.497 0.638
Cu: 0.041 0.998 0.261
O: 0.621 0.480 0.847
O: 0.344 0.009 0.392
P: 0.826 0.137 0.314
Li: 0.610 0.820 0.708
O: 0.286 0.849 0.861
O: 0.706 0.503 0.138
O: 0.974 0.295 0.300
Li: 0.313 0.645 0.490
O: 0.520 0.141 0.514
O: 0.679 0.974 0.133
O: 0.436 0.286 0.694
Li: 0.687 0.355 0.990
P: 0.217 0.875 0.152
O: 0.959 0.657 0.258
O: 0.041 0.343 0.758
O: 0.667 0.585 0.614
Cu: 0.490 0.048 0.743
O: 0.333 0.415 0.114
Li: 0.811 0.119 0.509
P: 0.310 0.174 0.648
P: 0.137 0.310 0.481
O: 0.697 0.041 0.591
O: 0.076 0.343 0.419
P: 0.783 0.125 0.652
O: 0.796 0.294 0.472
O: 0.258 0.633 0.075
O: 0.924 0.657 0.919
P: 0.126 0.767 0.507
O: 0.991 0.335 0.059
Li: 0.829 0.683 0.840